Entry 1:
VASP calculation (PBE) on Cs2WS4 after structural relaxation.

Geometry as POSCAR:
```
Cs2WS4
1.0
7.3951 0.0000 0.0000
0.0000 10.3957 0.0000
0.0000 0.0000 13.2064
W S Cs
4 16 8
Cartesian
5.5463 7.7536 12.2076
5.5463 2.5557 7.6020
1.8488 7.8400 5.6044
1.8488 2.6421 0.9988
7.3441 3.4535 8.5116
3.6465 6.9422 4.6948
5.5463 2.9850 5.4330
1.8488 2.2128 12.0362
3.7486 8.6513 11.2980
1.8488 4.8256 1.3553
5.5463 8.1829 1.1702
1.8488 7.4106 7.7734
1.8488 10.0235 5.2479
5.5463 5.5701 11.8511
3.6465 1.7444 1.9084
7.3441 8.6513 11.2980
5.5463 0.3722 7.9585
3.7486 3.4535 8.5116
0.0510 6.9422 4.6948
0.0510 1.7444 1.9084
5.5463 4.8441 2.2525
5.5463 6.7901 7.9379
1.8488 5.5516 10.9539
1.8488 8.8034 1.3347
5.5463 10.0420 4.3507
1.8488 0.3537 8.8557
1.8488 3.6056 5.2685
5.5463 1.5922 11.8717
```

The calculation puts the formation energy from the elements at -30.4 kcal/mol of atoms. Its space group is Pnma, No. 62.


Entry 2:
VASP calculation (PBE) on Cs3SbSe3 after structural relaxation.

Geometry as POSCAR:
```
Cs3SbSe3
1.0
10.8727 0.0000 0.0000
0.0000 10.8727 0.0000
0.0000 0.0000 10.8727
Cs Se Sb
12 12 4
Cartesian
3.3747 7.4980 2.0616
3.4079 3.4079 3.4079
8.8111 8.8111 8.8111
2.0616 3.3747 7.4980
2.0284 7.4648 8.8443
0.8129 10.0598 4.6234
6.2493 6.2493 6.2493
7.4980 2.0616 3.3747
4.6234 0.8129 10.0598
10.0598 4.6234 0.8129
7.4648 8.8443 2.0284
8.8443 2.0284 7.4648
0.0760 8.6679 1.0412
9.8315 5.5124 7.6412
5.5124 7.6412 9.8315
1.0412 0.0760 8.6679
7.6412 9.8315 5.5124
5.3604 2.2048 6.4776
6.4776 5.3604 2.2048
2.2048 6.4776 5.3604
8.6679 1.0412 0.0760
3.2315 4.3951 10.7967
4.3951 10.7967 3.2315
10.7967 3.2315 4.3951
10.6013 5.7078 5.1650
5.1650 10.6013 5.7078
5.7078 5.1650 10.6013
0.2714 0.2714 0.2714
```

The calculation puts the formation energy from the elements at -27.0 kcal/mol of atoms. Its space group is P2_13, No. 198. The largest piezoelectric modulus comes out at 0.038 C/m².


Entry 3:
VASP calculation (PBE) on Cs3Sb5Se9 after structural relaxation.

Geometry as POSCAR:
```
Cs3Sb5Se9
1.0
-0.2115 -13.1599 5.2588
0.9753 13.4035 4.5031
-9.1257 0.5063 3.4652
Se Sb Cs
18 10 6
Cartesian
-5.6527 0.3493 3.4008
-7.6159 -3.6640 7.0068
-1.7996 2.1962 2.9627
-4.5343 9.5521 8.2272
-1.1206 -3.9698 6.4588
-1.9807 -1.8554 3.0780
-6.3812 2.6054 10.1491
-7.2413 4.7198 6.7683
-3.8275 -8.8022 4.9998
-2.7091 0.4006 9.8262
-3.0152 9.3777 4.4826
-7.6714 0.5321 6.6552
-0.7460 4.4139 6.2203
0.0179 -8.0254 5.1128
-6.5622 -1.4463 10.2644
-0.6904 0.2178 6.5719
0.7459 8.2690 4.6492
-5.3466 -8.6278 8.7445
-0.6690 3.5254 8.6667
-3.6740 11.7211 6.2907
-0.8929 0.0875 1.6747
-7.4690 0.6624 11.5524
0.2900 -1.9341 4.9394
0.4738 2.1777 4.8225
-4.6879 -10.9712 6.9364
-7.6928 -2.7755 4.5603
-7.4033 3.7043 4.3760
-0.9586 -2.9543 8.8511
-6.0790 6.3030 10.0018
-6.5912 -5.1585 10.3279
-2.2828 -5.5531 3.2253
-1.7707 5.9084 2.8992
-4.0811 2.6083 6.5500
-4.2807 -1.8583 6.6771
```

The calculation puts the formation energy from the elements at -19.2 kcal/mol of atoms. Its space group is C2/m, No. 12.


Entry 4:
VASP calculation (PBE) on CsScUSe5 after structural relaxation.

Geometry as POSCAR:
```
CsScUSe5
1.0
-4.1590 0.0000 0.0000
0.0000 0.0000 -10.7137
2.0795 -10.8491 0.0000
Se U Sc Cs
10 2 2 2
Cartesian
0.0000 -0.4638 -2.6784
-2.0795 -1.7974 -10.5676
-2.0795 -6.6128 -9.2292
-2.0795 -10.3853 -8.0353
0.0000 -9.0517 -0.1461
-2.0795 -1.7974 -5.5030
0.0000 -9.0517 -5.2107
-2.0795 -6.6128 -6.8414
0.0000 -4.2363 -1.4845
0.0000 -4.2363 -3.8723
-2.0795 -2.5327 -2.6784
0.0000 -8.3164 -8.0353
0.0000 0.0000 0.0000
0.0000 0.0000 -5.3569
-2.0795 -7.4070 -2.6784
0.0000 -3.4420 -8.0353
```

The calculation puts the formation energy from the elements at -36.3 kcal/mol of atoms. Its space group is Cmcm, No. 63.


Entry 5:
VASP calculation (PBE) on CsSe4 after structural relaxation.

Geometry as POSCAR:
```
CsSe4
1.0
10.4348 0.0000 0.0000
0.0000 14.1065 0.0000
0.0000 0.0000 19.7274
Se Cs
64 16
Cartesian
1.9191 12.1312 14.7956
1.5132 3.4667 7.3806
3.2662 8.4298 3.0499
6.3060 0.5965 18.3528
9.6338 8.2500 7.6363
2.0213 6.9053 19.2548
2.0213 0.1480 0.4726
3.1364 1.0442 12.9430
0.8010 5.8565 12.0911
0.8010 5.8565 17.5000
8.4135 13.9585 10.3363
7.2985 8.0974 16.6482
8.5157 5.0780 14.7956
3.1364 1.0442 16.6482
9.6338 12.9097 17.5000
1.5132 3.5865 12.3468
5.6782 8.6420 14.7956
6.7660 4.7324 6.9261
8.4135 13.9585 19.2548
6.7660 2.3208 16.7898
2.0213 6.9053 10.3363
8.5157 1.9752 4.9319
8.4135 7.2012 9.3911
6.7660 2.3208 12.8013
8.9216 10.6398 17.2443
4.1288 7.6497 18.3528
8.4135 7.2012 0.4726
3.6688 11.7856 2.9376
8.9216 10.5199 7.3806
4.7567 1.5888 14.7956
1.5132 3.4667 2.4831
6.3060 6.4568 8.4891
0.8010 1.1968 2.2274
7.1686 1.3765 6.8138
2.0213 0.1480 9.3911
9.6338 12.9097 12.0911
7.2985 13.0623 6.7845
7.1686 5.6767 16.6775
4.7567 5.4645 4.9319
3.1364 6.0090 3.0793
3.2662 12.7299 16.6775
4.1288 7.6497 11.2383
3.2662 8.4298 6.8138
6.3060 6.4568 1.3746
1.5132 3.5865 17.2443
7.2985 13.0623 3.0793
3.6688 9.3741 12.8013
1.9191 9.0285 4.9319
8.9216 10.6398 12.3468
7.2985 8.0974 12.9430
8.9216 10.5199 2.4831
5.6782 12.5177 4.9319
3.1364 6.0090 6.7845
6.3060 0.5965 11.2383
6.7660 4.7324 2.9376
0.8010 1.1968 7.6363
4.1288 13.5100 1.3746
7.1686 1.3765 3.0499
9.6338 8.2500 2.2274
7.1686 5.6767 12.9136
4.1288 13.5100 8.4891
3.6688 11.7856 6.9261
3.6688 9.3741 16.7898
3.2662 12.7299 12.9136
4.1883 3.5266 9.8637
10.0967 5.4705 4.9319
6.7785 8.6897 4.9319
6.7785 12.4700 14.7956
6.2465 10.5798 9.8637
9.2070 3.5266 0.0000
6.2465 10.5798 0.0000
1.2279 10.5798 0.0000
9.2070 3.5266 9.8637
0.3381 12.5237 4.9319
10.0967 1.5828 14.7956
0.3381 8.6360 14.7956
4.1883 3.5266 0.0000
1.2279 10.5798 9.8637
3.6563 1.6365 4.9319
3.6563 5.4167 14.7956
```

The calculation puts the formation energy from the elements at -18.9 kcal/mol of atoms. Its space group is Pbcm, No. 57.


Entry 6:
VASP calculation (PBE) on Cs2Si2Se5 after structural relaxation.

Geometry as POSCAR:
```
Cs2Si2Se5
1.0
-6.8496 -3.6202 -9.0663
9.7168 -1.1017 -6.8257
1.3615 -9.7738 0.9192
Cs Se Si
8 20 8
Cartesian
3.2344 -7.6327 -5.1421
0.9944 -6.8629 -9.8306
1.4178 -12.8280 -12.9207
5.1156 -7.2755 -12.7881
4.3227 -11.3473 -9.0130
2.8110 -1.6676 -2.0520
-0.0939 -3.1483 -5.9598
-0.8868 -7.2201 -2.1846
3.4373 -3.8893 -12.7231
6.7164 -6.6232 -6.2701
-2.4876 -7.8724 -8.7026
-1.7609 -11.1488 -10.4655
-2.6847 -9.6559 -5.3129
-0.3348 -3.4409 -10.0990
9.1168 -3.6881 -6.7230
5.9897 -3.3468 -4.5072
3.7990 -4.4965 -7.4423
4.5636 -11.0547 -4.8737
6.9135 -4.8397 -9.6598
2.2717 -5.3909 -2.4169
0.7915 -10.6063 -2.2496
0.4298 -9.9991 -7.5304
1.9571 -9.1047 -12.5558
-4.8881 -10.8076 -8.2497
-3.3007 -3.1557 -7.9924
4.6168 -7.6785 -9.0618
7.5295 -11.3400 -6.9803
-0.3880 -6.8171 -5.9109
4.8062 -2.6821 -6.3775
7.6948 -4.7638 -5.2415
-3.4661 -9.7319 -9.7312
-1.3036 -8.6013 -6.8363
7.8787 -3.0168 -8.5644
5.5324 -5.8943 -8.1364
-0.5774 -11.8135 -8.5952
-3.6499 -11.4788 -6.4084
```

The calculation puts the formation energy from the elements at -25.9 kcal/mol of atoms. Its space group is C2/c, No. 15.


Entry 7:
VASP calculation (PBE) on Cs4SiSe4 after structural relaxation.

Geometry as POSCAR:
```
Cs4SiSe4
1.0
14.4353 0.0000 0.0000
0.0000 14.4353 0.0000
0.0000 0.0000 14.4353
Se Cs Si
32 32 8
Cartesian
5.8821 5.8821 8.5531
1.3355 1.3355 1.3355
13.0997 1.3355 13.0997
1.4454 12.1025 5.9287
12.9898 2.3328 5.9287
1.3355 13.0997 13.0997
8.6630 13.1464 4.8848
5.7722 1.2889 4.8848
4.8848 5.7722 1.2889
2.3328 8.5065 1.4454
13.1464 4.8848 8.6630
12.1025 8.5065 12.9898
8.5065 12.9898 12.1025
5.7722 13.1464 9.5504
12.1025 5.9287 1.4454
8.5065 1.4454 2.3328
5.9287 12.9898 2.3328
5.8821 8.5531 5.8821
1.4454 2.3328 8.5065
1.2889 4.8848 5.7722
13.0997 13.0997 1.3355
8.6630 1.2889 9.5504
5.9287 1.4454 12.1025
8.5531 8.5531 8.5531
12.9898 12.1025 8.5065
1.2889 9.5504 8.6630
9.5504 5.7722 13.1464
8.5531 5.8821 5.8821
13.1464 9.5504 5.7722
2.3328 5.9287 12.9898
9.5504 8.6630 1.2889
4.8848 8.6630 13.1464
9.1622 12.2518 8.4381
8.4381 5.2731 2.1835
2.1835 5.9972 9.1622
9.4011 12.4907 1.2205
1.2205 5.0341 1.9446
13.2148 5.0341 12.4907
9.1622 2.1835 5.9972
1.9446 1.2205 5.0341
1.9446 13.2148 9.4011
1.2205 9.4011 12.4907
12.2518 8.4381 9.1622
12.2400 2.1953 2.1953
9.4011 1.9446 13.2148
9.4129 9.4129 5.0224
8.4381 9.1622 12.2518
2.1953 2.1953 12.2400
5.2731 12.2518 5.9972
12.2518 5.9972 5.2731
12.4907 13.2148 5.0341
13.2148 9.4011 1.9446
9.4129 5.0224 9.4129
5.0341 1.9446 1.2205
12.2400 12.2400 12.2400
5.9972 5.2731 12.2518
5.9972 9.1622 2.1835
5.2731 2.1835 8.4381
12.4907 1.2205 9.4011
2.1835 8.4381 5.2731
5.0341 12.4907 13.2148
5.0224 9.4129 9.4129
2.1953 12.2400 2.1953
5.0224 5.0224 5.0224
7.2176 0.0000 10.8264
0.0000 0.0000 0.0000
7.2176 0.0000 3.6088
3.6088 7.2176 0.0000
0.0000 10.8264 7.2176
0.0000 3.6088 7.2176
7.2176 7.2176 7.2176
10.8264 7.2176 0.0000
```

The calculation puts the formation energy from the elements at -29.9 kcal/mol of atoms. Its space group is P-43n, No. 218.


Entry 8:
VASP calculation (PBE) on Cs2ZnSn3Se8 after structural relaxation.

Geometry as POSCAR:
```
Cs2ZnSn3Se8
1.0
8.0301 0.0000 0.0000
0.0000 13.6562 0.0000
0.0000 0.0000 18.7971
Sn Zn Se Cs
12 4 32 8
Cartesian
7.9822 0.1692 12.2343
1.9168 7.4722 3.3997
6.1133 0.6441 5.9988
4.0630 13.4870 2.8357
2.0983 6.1841 12.7983
1.8350 7.6987 9.6795
6.1951 0.8705 18.5161
5.8501 12.7857 9.1176
3.9671 6.6589 6.5628
2.1801 5.9576 0.2810
5.9319 13.0122 15.3973
0.0480 6.9974 15.9613
4.0913 6.8188 15.9267
3.9388 13.6469 12.2689
7.9539 6.8375 6.5282
0.0763 0.0093 2.8704
4.2402 5.4113 13.8500
6.0324 5.2044 6.6153
6.0933 12.0234 17.8171
3.9691 1.5439 0.8477
4.0723 8.3130 4.5327
0.0459 12.1124 10.2462
6.0923 1.8445 16.1092
1.9378 8.6727 12.0863
1.9368 5.1953 10.3785
7.8050 8.2449 4.4515
2.0773 4.9836 2.6878
5.9519 1.6328 8.4185
6.0128 8.4518 16.0138
0.2251 1.4168 4.9470
0.0572 12.1714 14.2643
5.9529 11.8117 6.7107
0.2516 1.5757 0.9233
2.0174 1.6237 12.1818
4.2666 5.2525 17.8738
4.0610 8.3720 8.5508
3.7635 12.0806 10.3218
7.9729 5.3432 13.9312
5.8671 1.5766 12.3149
2.1630 8.4047 15.8807
1.9977 12.0326 2.7833
2.0783 8.4609 0.9800
7.7786 8.4038 8.4753
6.1781 12.0796 2.9163
1.8520 5.2515 6.4822
3.7899 12.2394 14.3456
7.9842 5.2842 17.9494
3.9578 1.4849 4.8658
1.8386 11.0820 6.4240
6.0313 5.0365 10.3910
6.1915 4.2539 2.9746
2.0162 1.7916 8.4061
1.9988 11.8646 17.8046
6.0139 8.6197 0.9925
2.1764 2.5742 15.8225
5.8537 9.4024 12.3731
```

The calculation puts the formation energy from the elements at -21.8 kcal/mol of atoms. Its space group is P2_12_12_1, No. 19.


Entry 9:
VASP calculation (PBE) on CsTbZnSe3 after structural relaxation.

Geometry as POSCAR:
```
CsTbZnSe3
1.0
2.0955 -8.0974 0.0000
2.0955 8.0974 0.0000
0.0000 0.0000 11.0453
Zn Se Cs Tb
2 6 2 2
Cartesian
2.0955 -0.6316 8.2840
2.0955 0.6316 2.7613
2.0955 7.2114 2.7613
2.0955 -7.2114 8.2840
2.0955 1.8934 0.6565
2.0955 1.8934 4.8661
2.0955 -1.8934 6.1792
2.0955 -1.8934 10.3888
2.0955 3.9226 8.2840
2.0955 -3.9226 2.7613
0.0000 0.0000 5.5227
0.0000 0.0000 0.0000
```

The calculation puts the formation energy from the elements at -38.1 kcal/mol of atoms. Its space group is Cmcm, No. 63.


Entry 10:
VASP calculation (PBE) on CsTmZnSe3 after structural relaxation.

Geometry as POSCAR:
```
CsTmZnSe3
1.0
-1.9675 6.2268 -5.2775
1.6243 -8.0821 1.5932
-10.6043 -1.7616 1.8749
Se Cs Zn Tm
6 2 2 2
Cartesian
-1.2207 -7.7500 1.6910
-10.5959 -0.9420 -0.8638
-6.4815 -0.2585 -1.5913
-9.7269 4.1331 -3.5004
-4.4660 -3.3583 -0.2181
-0.3517 -2.6748 -0.9455
-7.2545 -5.7160 1.2289
-3.6930 2.0991 -3.0382
-8.2670 -1.6824 -0.7079
-2.6805 -1.9344 -1.1014
-5.3022 -0.8808 0.9375
0.0000 0.0000 0.0000
```

The calculation puts the formation energy from the elements at -37.9 kcal/mol of atoms. Its space group is Cmcm, No. 63.


What is the formation energy from the elements in the third record? -19.2 kcal/mol of atoms


The lowest formation energy from the elements belongs to which entry? CsTbZnSe3